Entry from Materials Project: a relaxed Li7V3P8O29 crystal (PBE with a Hubbard U).

Computed properties:
E_form = -2.692 eV per atom
crystal system = triclinic
relative energy among the computed polymorphs = 0.001 eV per atom
MP2020-corrected energy = -353.9 eV/f.u.
calculated total energy = -657.79 eV for the cell shown

abc: 9.8652 9.8693 13.9190
angles: 89.91 90.61 119.89
Closest atoms and distances in Å follow each position.
Positions (direct):
P 0.3315 0.6642 0.3748  4 O 1.49-1.63
Li 0.6684 0.3295 0.8827  1 O 1.84
O 0.7824 0.7813 0.2501  2 P 1.61-1.62
O 0.1866 0.5201 0.8297  1 P 1.60
Li 0.7748 0.6884 0.5599  3 O 1.93-2.03
O 0.5181 0.3297 0.1579  1 P 1.55
Li 0.6631 0.3314 0.3835  3 O 1.89-2.09
Li 0.3315 0.6693 0.1136  1 O 1.87
V 0.4292 0.9963 0.7509  6 O 1.87-2.02
P 0.3377 0.6707 0.8725  4 O 1.49-1.60
O 0.6768 0.1898 0.1585  1 P 1.55
O 0.3269 0.2460 0.3448  1 P 1.54
V 0.5659 0.5673 0.7468  6 O 1.84-2.02
P 0.2218 0.9118 0.1575  4 O 1.50-1.62
O 0.3379 0.6689 0.9797  1 P 1.49
V 0.0001 0.5649 0.2484  6 O 1.86-2.05
O 0.2118 0.2105 0.7514  2 P 1.61-1.62
O 0.8174 0.4870 0.1669  1 P 1.60
O 0.9875 0.2082 0.0756  1 P 1.50
Li 0.0946 0.7755 0.4412  3 O 1.95-2.01
P 0.0849 0.7655 0.6591  4 O 1.50-1.63
O 0.6826 0.3494 0.0145  1 P 1.51
Li 0.2269 0.3231 0.4364  4 O 1.95-2.13
O 0.7544 0.7554 0.4308  1 P 1.51
O 0.2116 0.9882 0.2580  2 P 1.60-1.62
O 0.3308 0.8112 0.8285  1 P 1.55
O 0.4788 0.8117 0.3350  1 P 1.56
O 0.4868 0.6708 0.8349  1 P 1.57
Li 0.0430 0.0299 0.9992  2 O 2.06-2.09
O 0.7709 0.9981 0.9303  1 P 1.51
P 0.2294 0.3168 0.6594  4 O 1.50-1.61
O 0.6308 0.5096 0.3269  1 P 1.54
O 0.0982 0.4744 0.1653  1 P 1.56
O 0.2453 0.2429 0.5693  1 P 1.50
O 0.2518 0.9961 0.4359  1 P 1.51
O 0.8168 0.3324 0.6703  1 P 1.58
Li 0.7666 0.0955 0.0632  4 O 1.89-2.10
O 0.9849 0.7678 0.9333  1 P 1.49
O 0.6608 0.7481 0.6571  1 P 1.55
O 0.7889 0.9997 0.7493  2 P 1.61-1.63
V 0.4319 0.4312 0.2499  6 O 2.01-2.07
Li 0.9122 0.2260 0.5619  3 O 1.94-2.00
O 0.0096 0.2209 0.2573  2 P 1.60-1.62
Li 0.6805 0.9060 0.4354  3 O 1.96-2.03
O 0.8917 0.5188 0.8303  1 P 1.55
P 0.6680 0.3324 0.6276  4 O 1.50-1.59
O 0.9958 0.7580 0.5690  1 P 1.50
O 0.5141 0.6279 0.1677  1 P 1.54
O 0.0953 0.6180 0.6755  1 P 1.53
O 0.6708 0.3335 0.5195  1 P 1.50
O 0.3150 0.6668 0.4812  1 P 1.49
P 0.0845 0.3102 0.1572  4 O 1.50-1.62
O 0.9962 0.7874 0.7504  2 P 1.60-1.63
P 0.6792 0.7697 0.1561  4 O 1.52-1.62
O 0.0841 0.3349 0.6596  1 P 1.53
O 0.8850 0.3741 0.3253  1 P 1.56
O 0.5159 0.1860 0.6647  1 P 1.57
O 0.7403 0.6611 0.8351  1 P 1.57
O 0.7654 0.7628 0.0683  1 P 1.52
O 0.2344 0.2166 0.9333  1 P 1.49
O 0.0047 0.2555 0.4360  1 P 1.51
O 0.3693 0.8956 0.1621  1 P 1.54
P 0.3232 0.0886 0.3456  4 O 1.51-1.60
O 0.0763 0.7459 0.1571  1 P 1.55
Li 0.3133 0.0867 0.5629  3 O 1.93-2.01
V 0.0064 0.4364 0.7560  6 O 1.84-2.05
O 0.7535 0.0827 0.3446  1 P 1.53
O 0.3463 0.0849 0.8339  1 P 1.55
O 0.9179 0.2536 0.8405  1 P 1.52
O 0.9226 0.6700 0.3429  1 P 1.54
Li 0.3292 0.2344 0.0649  4 O 1.94-2.06
O 0.3279 0.5130 0.3382  1 P 1.56
P 0.7746 0.0904 0.8427  4 O 1.51-1.63
O 0.2479 0.9152 0.6606  1 P 1.55
Li 0.6733 0.7686 0.9390  4 O 1.97-2.14
O 0.1796 0.6600 0.3247  1 P 1.63
O 0.5222 0.9063 0.6762  1 P 1.54
Li 0.9057 0.6744 0.0615  4 O 1.97-2.18
O 0.4908 0.1197 0.3271  1 P 1.55
P 0.6696 0.3352 0.1226  4 O 1.51-1.60
O 0.2497 0.3319 0.1563  1 P 1.53
P 0.7694 0.6765 0.3420  4 O 1.51-1.61
O 0.7569 0.0013 0.5676  1 P 1.50
P 0.3199 0.2266 0.8434  4 O 1.49-1.62
O 0.6707 0.4858 0.6646  1 P 1.59
O 0.4812 0.3757 0.8309  1 P 1.55
O 0.6267 0.1060 0.8297  1 P 1.55
V 0.5662 0.0012 0.2484  6 O 2.00-2.08
P 0.9122 0.2338 0.3446  4 O 1.51-1.60
O 0.2096 0.0087 0.0782  1 P 1.50
P 0.9091 0.6833 0.8425  4 O 1.49-1.60
P 0.6793 0.9137 0.6577  4 O 1.50-1.61
O 0.3795 0.4766 0.6796  1 P 1.56
O 0.6704 0.9206 0.1565  1 P 1.53